# 1
# Tb4Co PBE optimized geometry
data_Tb4Co
_chemical_formula_sum 'Tb8 Co2'
_cell_length_a 7.478
_cell_length_b 7.478
_cell_length_c 7.478
_cell_angle_alpha 60.00
_cell_angle_beta 60.00
_cell_angle_gamma 60.00
_symmetry_space_group_name_H-M 'P 1'
_symmetry_Int_Tables_number 1
loop_
_symmetry_equiv_pos_as_xyz
'x,y,z'
loop_
_atom_site_label
_atom_site_fract_x
_atom_site_fract_y
_atom_site_fract_z
Tb1 0.865 0.865 0.405
Tb2 0.385 0.385 0.845
Tb3 0.385 0.385 0.385
Tb4 0.865 0.405 0.865
Tb5 0.865 0.865 0.865
Tb6 0.385 0.845 0.385
Tb7 0.405 0.865 0.865
Tb8 0.845 0.385 0.385
Co1 0.000 0.000 0.000
Co2 0.250 0.250 0.250
# DFT formation energy: 0.298 eV per atom
# Theoretical density: 7.803 g cm⁻³
# Final energy: -4.831 eV/atom
# SG: Fd-3m, No. 227

# 2
# Bi6Br7 PBE optimized geometry
data_Bi6Br7
_chemical_formula_sum 'Bi48 Br56'
_cell_length_a 9.194
_cell_length_b 16.017
_cell_length_c 24.462
_cell_angle_alpha 90.00
_cell_angle_beta 90.00
_cell_angle_gamma 90.00
_symmetry_space_group_name_H-M 'P 1'
_symmetry_Int_Tables_number 1
loop_
_symmetry_equiv_pos_as_xyz
'x,y,z'
loop_
_atom_site_label
_atom_site_fract_x
_atom_site_fract_y
_atom_site_fract_z
Bi1 0.179 0.166 0.195
Bi2 0.255 0.344 0.148
Bi3 0.500 0.426 0.601
Bi4 0.317 0.282 0.550
Bi5 0.500 0.044 0.912
Bi6 0.755 0.844 0.352
Bi7 0.000 0.615 0.933
Bi8 0.183 0.218 0.050
Bi9 0.000 0.678 0.144
Bi10 0.000 0.544 0.588
Bi11 0.745 0.656 0.852
Bi12 0.245 0.156 0.648
Bi13 0.000 0.096 0.401
Bi14 0.821 0.166 0.195
Bi15 0.755 0.156 0.648
Bi16 0.500 0.828 0.267
Bi17 0.000 0.322 0.856
Bi18 0.683 0.282 0.550
Bi19 0.745 0.344 0.148
Bi20 0.000 0.456 0.412
Bi21 0.000 0.074 0.101
Bi22 0.683 0.718 0.450
Bi23 0.817 0.782 0.950
Bi24 0.500 0.822 0.644
Bi25 0.679 0.334 0.695
Bi26 0.500 0.404 0.901
Bi27 0.321 0.666 0.305
Bi28 0.000 0.672 0.767
Bi29 0.500 0.172 0.733
Bi30 0.000 0.328 0.233
Bi31 0.500 0.596 0.099
Bi32 0.500 0.956 0.088
Bi33 0.500 0.115 0.567
Bi34 0.000 0.926 0.899
Bi35 0.679 0.666 0.305
Bi36 0.500 0.885 0.433
Bi37 0.000 0.904 0.599
Bi38 0.817 0.218 0.050
Bi39 0.245 0.844 0.352
Bi40 0.321 0.334 0.695
Bi41 0.183 0.782 0.950
Bi42 0.500 0.574 0.399
Bi43 0.821 0.834 0.805
Bi44 0.317 0.718 0.450
Bi45 0.255 0.656 0.852
Bi46 0.179 0.834 0.805
Bi47 0.000 0.385 0.067
Bi48 0.500 0.178 0.356
Br1 0.000 0.820 0.061
Br2 0.277 0.054 0.836
Br3 0.000 0.632 0.391
Br4 0.724 0.000 0.000
Br5 0.500 0.723 0.744
Br6 0.500 0.422 0.056
Br7 0.000 0.368 0.609
Br8 0.500 0.494 0.804
Br9 0.193 0.581 0.060
Br10 0.809 0.792 0.669
Br11 0.691 0.292 0.831
Br12 0.693 0.919 0.560
Br13 0.000 0.223 0.756
Br14 0.691 0.708 0.169
Br15 0.224 0.500 0.500
Br16 0.000 0.180 0.939
Br17 0.693 0.081 0.440
Br18 0.723 0.946 0.164
Br19 0.500 0.868 0.891
Br20 0.500 0.680 0.561
Br21 0.000 0.994 0.696
Br22 0.809 0.208 0.331
Br23 0.807 0.581 0.060
Br24 0.500 0.506 0.196
Br25 0.000 0.922 0.444
Br26 0.777 0.554 0.664
Br27 0.776 0.500 0.500
Br28 0.000 0.719 0.540
Br29 0.000 0.281 0.460
Br30 0.309 0.292 0.831
Br31 0.309 0.708 0.169
Br32 0.000 0.777 0.244
Br33 0.000 0.006 0.304
Br34 0.191 0.208 0.331
Br35 0.500 0.039 0.289
Br36 0.500 0.219 0.960
Br37 0.500 0.781 0.040
Br38 0.723 0.054 0.836
Br39 0.276 0.000 0.000
Br40 0.807 0.419 0.940
Br41 0.223 0.554 0.664
Br42 0.500 0.277 0.256
Br43 0.307 0.081 0.440
Br44 0.000 0.078 0.556
Br45 0.000 0.461 0.789
Br46 0.000 0.539 0.211
Br47 0.500 0.132 0.109
Br48 0.307 0.919 0.560
Br49 0.500 0.961 0.711
Br50 0.191 0.792 0.669
Br51 0.277 0.946 0.164
Br52 0.500 0.320 0.439
Br53 0.223 0.446 0.336
Br54 0.500 0.578 0.944
Br55 0.777 0.446 0.336
Br56 0.193 0.419 0.940
# DFT formation energy: -0.783 eV per atom
# Theoretical density: 6.686 g cm⁻³
# Final energy: -3.172 eV/atom
# SG: Pnnm, No. 58

- Among the records above, which one has the lowest DFT formation energy?
  Bi6Br7

- Which of these has the highest DFT formation energy?
  Tb4Co